Density functional theory data (r²SCAN) for a relaxed Er2ZnAg crystal.

a b c (Å): 5.0109 5.0109 5.0109
angles (deg): 60.00 60.00 60.00
With the nearest neighbours (Å) after each atom.
Sites, in units of the cell vectors:
Er1 0.7500 0.7500 0.7500  4 Zn 3.07, 4 Ag 3.07
Er2 0.2500 0.2500 0.2500  4 Ag 3.07, 4 Zn 3.07
Zn1 0.0000 0.0000 0.0000  8 Er 3.07
Ag1 0.5000 0.5000 0.5000  8 Er 3.07

Properties
total DFT energy (no corrections)	-24.895	eV/atom
formation energy	-0.3653	eV per atom
magnetization	0.00	μB per cell

---

Density functional theory data (r²SCAN) for a relaxed EuAg crystal.

a b c (Å): 4.7120 6.1554 8.0000
angles (deg): 89.99 90.00 90.00
With the nearest neighbours (Å) after each atom.
Sites, in units of the cell vectors:
Eu1 0.7500 0.8675 0.8203  7 Ag 3.25-3.32
Eu2 0.2500 0.3675 0.6797  7 Ag 3.25-3.32
Eu3 0.7500 0.6325 0.3203  7 Ag 3.25-3.32
Eu4 0.2500 0.1325 0.1797  7 Ag 3.25-3.32
Ag1 0.2500 0.6265 0.0357  2 Ag 2.88
Ag2 0.7500 0.1265 0.4643  2 Ag 2.88
Ag3 0.7500 0.3735 0.9643  2 Ag 2.88
Ag4 0.2500 0.8735 0.5357  2 Ag 2.88

Properties
total DFT energy (no corrections)	-30.248	eV/atom
formation energy	-0.3095	eV per atom
magnetization	29.45	μB per cell

---

Density functional theory data (r²SCAN) for a relaxed Eu3Ag2 crystal.

a b c (Å): 4.3545 8.4347 8.4347
angles (deg): 90.00 90.00 90.00
With the nearest neighbours (Å) after each atom.
Sites, in units of the cell vectors:
Eu1 0.5000 0.1656 0.6656  6 Ag 3.29-3.33
Eu2 0.5000 0.6656 0.8344  6 Ag 3.29-3.33
Eu3 0.5000 0.3344 0.1656  6 Ag 3.29-3.33
Eu4 0.0000 0.0000 0.0000  4 Ag 3.35
Eu5 0.5000 0.8344 0.3344  6 Ag 3.29-3.33
Eu6 0.0000 0.5000 0.5000  4 Ag 3.35
Ag1 0.0000 0.3771 0.8771  1 Ag 2.93
Ag2 0.0000 0.1229 0.3771  1 Ag 2.93
Ag3 0.0000 0.6229 0.1229  1 Ag 2.93
Ag4 0.0000 0.8771 0.6229  1 Ag 2.93

Properties
total DFT energy (no corrections)	-31.920	eV/atom
formation energy	-0.2655	eV per atom
magnetization	44.76	μB per cell

---

Density functional theory data (r²SCAN) for a relaxed EuAg5 crystal.

a b c (Å): 5.6340 5.6339 4.6392
angles (deg): 90.00 90.00 120.00
With the nearest neighbours (Å) after each atom.
Sites, in units of the cell vectors:
Eu1 0.0000 0.0000 0.0000  6 Ag 3.25
Ag1 0.3333 0.6667 0.0000  6 Ag 2.83
Ag2 0.6667 0.3333 0.0000  6 Ag 2.83
Ag3 0.5000 0.0000 0.5000  8 Ag 2.82-2.83
Ag4 0.5000 0.5000 0.5000  8 Ag 2.82-2.83
Ag5 0.0000 0.5000 0.5000  8 Ag 2.82-2.83

Properties
total DFT energy (no corrections)	-24.390	eV/atom
formation energy	-0.1730	eV per atom
magnetization	7.43	μB per cell

---

Density functional theory data (r²SCAN) for a relaxed EuGaAg4 crystal.

a b c (Å): 5.5022 5.5022 4.5802
angles (deg): 90.00 90.00 116.87
With the nearest neighbours (Å) after each atom.
Sites, in units of the cell vectors:
Eu1 0.5000 0.5000 0.0000  14 Ag 3.21-3.58
Ga1 0.0000 0.0000 0.5000  8 Ag 2.73-2.75
Ag1 0.1576 0.8424 0.0000  2 Ga 2.73, 5 Ag 2.84-2.96
Ag2 0.8424 0.1576 0.0000  2 Ga 2.73, 5 Ag 2.84-2.96
Ag3 0.0000 0.5000 0.5000  2 Ga 2.75, 6 Ag 2.84-2.88
Ag4 0.5000 0.0000 0.5000  2 Ga 2.75, 6 Ag 2.84-2.88

Properties
total DFT energy (no corrections)	-22.798	eV/atom
formation energy	-0.2336	eV per atom
magnetization	7.12	μB per cell

---

Density functional theory data (r²SCAN) for a relaxed EuGa3Ag crystal.

a b c (Å): 6.2456 6.2456 6.2456
angles (deg): 139.53 139.53 58.56
With the nearest neighbours (Å) after each atom.
Sites, in units of the cell vectors:
Eu1 0.0000 0.0000 0.0000  12 Ga 3.30-3.48, 4 Ag 3.48
Ga1 0.6141 0.6141 0.0000  3 Ga 2.49-2.62, 2 Ag 2.62
Ga2 0.3859 0.3859 0.0000  3 Ga 2.49-2.62, 2 Ag 2.62
Ga3 0.7500 0.2500 0.5000  4 Ga 2.62
Ag1 0.2500 0.7500 0.5000  4 Ga 2.62

Properties
total DFT energy (no corrections)	-19.310	eV/atom
formation energy	-0.4689	eV per atom
magnetization	6.95	μB per cell

---

Density functional theory data (r²SCAN) for a relaxed EuAg2Ge2 crystal.

a b c (Å): 6.2633 6.2633 6.2633
angles (deg): 139.17 139.17 59.12
With the nearest neighbours (Å) after each atom.
Sites, in units of the cell vectors:
Eu1 0.0000 0.0000 0.0000  8 Ge 3.32, 8 Ag 3.49
Ag1 0.7500 0.2500 0.5000  4 Ge 2.66
Ag2 0.2500 0.7500 0.5000  4 Ge 2.66
Ge1 0.3885 0.3885 0.0000  1 Ge 2.43, 4 Ag 2.66
Ge2 0.6115 0.6115 0.0000  1 Ge 2.43, 4 Ag 2.66

Properties
total DFT energy (no corrections)	-22.196	eV/atom
formation energy	-0.4007	eV per atom
magnetization	6.86	μB per cell

---

Density functional theory data (r²SCAN) for a relaxed Eu2AgHg crystal.

a b c (Å): 5.4209 5.4209 5.4209
angles (deg): 60.00 60.00 60.00
With the nearest neighbours (Å) after each atom.
Sites, in units of the cell vectors:
Eu1 0.2500 0.2500 0.2500  4 Hg 3.32, 4 Ag 3.32
Eu2 0.7500 0.7500 0.7500  4 Hg 3.32, 4 Ag 3.32
Ag1 0.5000 0.5000 0.5000  8 Eu 3.32
Hg1 0.0000 0.0000 0.0000  8 Eu 3.32

Properties
total DFT energy (no corrections)	-37.380	eV/atom
formation energy	-0.4388	eV per atom
magnetization	14.46	μB per cell

---

Density functional theory data (r²SCAN) for a relaxed EuMgAg crystal.

a b c (Å): 4.6499 7.6560 8.8072
angles (deg): 90.00 90.00 90.00
With the nearest neighbours (Å) after each atom.
Sites, in units of the cell vectors:
Eu1 0.2500 0.5337 0.1773  5 Ag 3.22-3.33, 5 Mg 3.46-3.58
Eu2 0.7500 0.4663 0.8227  5 Ag 3.22-3.33, 5 Mg 3.46-3.58
Eu3 0.7500 0.9663 0.6773  5 Ag 3.22-3.33, 5 Mg 3.46-3.58
Eu4 0.2500 0.0337 0.3227  5 Ag 3.22-3.33, 5 Mg 3.46-3.58
Mg1 0.2500 0.6366 0.5598  4 Ag 2.85-2.97
Mg2 0.7500 0.3634 0.4402  4 Ag 2.85-2.97
Mg3 0.7500 0.8634 0.0598  4 Ag 2.85-2.97
Mg4 0.2500 0.1366 0.9402  4 Ag 2.85-2.97
Ag1 0.2500 0.7712 0.8757  4 Mg 2.85-2.97
Ag2 0.7500 0.2288 0.1243  4 Mg 2.85-2.97
Ag3 0.7500 0.7288 0.3757  4 Mg 2.85-2.97
Ag4 0.2500 0.2712 0.6243  4 Mg 2.85-2.97

Properties
total DFT energy (no corrections)	-21.603	eV/atom
formation energy	-0.2547	eV per atom
magnetization	29.59	μB per cell

---

Density functional theory data (r²SCAN) for a relaxed NdEuAg2 crystal.

a b c (Å): 5.3083 5.3083 5.3083
angles (deg): 60.00 60.00 60.00
With the nearest neighbours (Å) after each atom.
Sites, in units of the cell vectors:
Nd1 0.0000 0.0000 0.0000  8 Ag 3.25
Eu1 0.5000 0.5000 0.5000  8 Ag 3.25
Ag1 0.2500 0.2500 0.2500  4 Nd 3.25, 4 Eu 3.25
Ag2 0.7500 0.7500 0.7500  4 Nd 3.25, 4 Eu 3.25

Properties
total DFT energy (no corrections)	-27.929	eV/atom
formation energy	-0.2664	eV per atom
magnetization	7.27	μB per cell

---

Density functional theory data (r²SCAN) for a relaxed EuAgO2 crystal.

a b c (Å): 3.6441 3.6441 6.3970
angles (deg): 75.52 75.52 59.86
With the nearest neighbours (Å) after each atom.
Sites, in units of the cell vectors:
Eu1 0.5000 0.5000 0.5000  6 O 2.34-2.35
Ag1 0.0000 0.0000 0.0000  2 O 2.03
O1 0.1173 0.1173 0.6684  1 Ag 2.03
O2 0.8827 0.8827 0.3316  1 Ag 2.03

Properties
total DFT energy (no corrections)	-19.948	eV/atom
formation energy	-1.9926	eV per atom
magnetization	6.00	μB per cell

---

Density functional theory data (r²SCAN) for a relaxed EuAgO2 crystal.

a b c (Å): 3.6339 3.6339 12.2827
angles (deg): 90.00 90.00 120.00
With the nearest neighbours (Å) after each atom.
Sites, in units of the cell vectors:
Eu1 0.0000 0.0000 0.0000  6 O 2.34
Eu2 0.0000 0.0000 0.5000  6 O 2.34
Ag1 0.3333 0.6667 0.2500  2 O 2.04
Ag2 0.6667 0.3333 0.7500  2 O 2.04
O1 0.3333 0.6667 0.0842  1 Ag 2.04
O2 0.3333 0.6667 0.4157  1 Ag 2.04
O3 0.6667 0.3333 0.5843  1 Ag 2.04
O4 0.6667 0.3333 0.9158  1 Ag 2.04

Properties
total DFT energy (no corrections)	-19.950	eV/atom
formation energy	-1.9947	eV per atom
magnetization	12.00	μB per cell

---

Density functional theory data (r²SCAN) for a relaxed EuAgP crystal.

a b c (Å): 4.3748 4.3748 8.0456
angles (deg): 90.00 90.00 120.00
With the nearest neighbours (Å) after each atom.
Sites, in units of the cell vectors:
Eu1 0.0000 0.0000 0.0000  6 P 3.23, 6 Ag 3.23
Eu2 0.0000 0.0000 0.5000  6 Ag 3.23, 6 P 3.23
Ag1 0.6667 0.3333 0.2500  3 P 2.53
Ag2 0.3333 0.6667 0.7500  3 P 2.53
P1 0.6667 0.3333 0.7500  3 Ag 2.53
P2 0.3333 0.6667 0.2500  3 Ag 2.53

Properties
total DFT energy (no corrections)	-23.851	eV/atom
formation energy	-0.8910	eV per atom
magnetization	14.00	μB per cell

---

Density functional theory data (r²SCAN) for a relaxed PrEuAg2 crystal.

a b c (Å): 5.3300 5.3300 5.3300
angles (deg): 60.00 60.00 60.00
With the nearest neighbours (Å) after each atom.
Sites, in units of the cell vectors:
Pr1 0.0000 0.0000 0.0000  8 Ag 3.26
Eu1 0.5000 0.5000 0.5000  8 Ag 3.26
Ag1 0.7500 0.7500 0.7500  4 Eu 3.26, 4 Pr 3.26
Ag2 0.2500 0.2500 0.2500  4 Eu 3.26, 4 Pr 3.26

Properties
total DFT energy (no corrections)	-27.922	eV/atom
formation energy	-0.2629	eV per atom
magnetization	7.33	μB per cell

---

Density functional theory data (r²SCAN) for a relaxed EuSi2Ag2 crystal.

a b c (Å): 4.2926 4.2926 6.0884
angles (deg): 110.64 110.64 90.00
With the nearest neighbours (Å) after each atom.
Sites, in units of the cell vectors:
Eu1 0.0000 0.0000 0.0000  8 Si 3.25, 8 Ag 3.40
Si1 0.6092 0.6092 0.2184  1 Si 2.31
Si2 0.3908 0.3908 0.7816  1 Si 2.31
Ag1 0.2500 0.7500 0.5000  4 Si 2.61
Ag2 0.7500 0.2500 0.5000  4 Si 2.61

Properties
total DFT energy (no corrections)	-20.133	eV/atom
formation energy	-0.3770	eV per atom
magnetization	6.83	μB per cell

---

Density functional theory data (r²SCAN) for a relaxed EuAgSn crystal.

a b c (Å): 6.1511 6.1511 7.8064
angles (deg): 51.64 51.64 46.25
With the nearest neighbours (Å) after each atom.
Sites, in units of the cell vectors:
Eu1 0.5393 0.5393 0.7031  6 Ag 3.30-3.57, 6 Sn 3.38-3.56
Eu2 0.4607 0.4607 0.2969  6 Ag 3.30-3.57, 6 Sn 3.38-3.56
Ag1 0.1633 0.1633 0.2875  3 Sn 2.81-3.11, 1 Ag 2.85
Ag2 0.8367 0.8367 0.7125  3 Sn 2.81-3.11, 1 Ag 2.85
Sn1 0.8347 0.8347 0.1130  3 Ag 2.81-3.11, 1 Sn 2.86
Sn2 0.1653 0.1653 0.8870  3 Ag 2.81-3.11, 1 Sn 2.86

Properties
total DFT energy (no corrections)	-28.736	eV/atom
formation energy	-0.5286	eV per atom
magnetization	14.06	μB per cell

---

Density functional theory data (r²SCAN) for a relaxed AgF2 crystal.

a b c (Å): 3.6814 5.1894 4.6233
angles (deg): 90.00 91.87 90.00
With the nearest neighbours (Å) after each atom.
Sites, in units of the cell vectors:
Ag1 0.5000 0.5000 0.5000  4 F 2.08-2.10
Ag2 0.0000 0.0000 0.0000  4 F 2.08-2.10
F1 0.4312 0.7934 0.1973  2 Ag 2.08-2.10
F2 0.0688 0.2934 0.3027  2 Ag 2.08-2.10
F3 0.9312 0.7066 0.6973  2 Ag 2.08-2.10
F4 0.5688 0.2066 0.8027  2 Ag 2.08-2.10

Properties
total DFT energy (no corrections)	-10.480	eV/atom
formation energy	-1.2772	eV per atom
magnetization	0.00	μB per cell

---

Density functional theory data (r²SCAN) for a relaxed AgF crystal.

a b c (Å): 3.4802 3.4802 3.4802
angles (deg): 60.00 60.00 60.00
With the nearest neighbours (Å) after each atom.
Sites, in units of the cell vectors:
Ag1 0.0000 0.0000 0.0000  6 F 2.46
F1 0.5000 0.5000 0.5000  6 Ag 2.46

Properties
total DFT energy (no corrections)	-13.364	eV/atom
formation energy	-1.1226	eV per atom
magnetization	0.00	μB per cell

---

Density functional theory data (r²SCAN) for a relaxed Ag2F5 crystal.

a b c (Å): 4.8793 7.3568 11.1298
angles (deg): 88.62 89.18 74.54
With the nearest neighbours (Å) after each atom.
Sites, in units of the cell vectors:
Ag1 0.5000 0.5000 0.0000  4 F 2.04-2.12
Ag2 0.5000 0.0000 0.5000  4 F 2.03-2.13
Ag3 0.0453 0.2781 0.7513  4 F 2.03-2.22
Ag4 0.9547 0.7219 0.2487  4 F 2.03-2.22
Ag5 0.5000 0.0000 0.0000  4 F 1.93-1.95
Ag6 0.5000 0.5000 0.5000  4 F 1.94-1.99
Ag7 0.0441 0.7876 0.7672  4 F 1.92-1.96
Ag8 0.9559 0.2124 0.2328  4 F 1.92-1.96
F1 0.4256 0.2762 0.4233  2 Ag 1.99-2.13
F2 0.5744 0.7238 0.5767  2 Ag 1.99-2.13
F3 0.6657 0.7683 0.0920  1 Ag 1.95
F4 0.3343 0.2317 0.9080  1 Ag 1.95
F5 0.4878 0.1600 0.1362  1 Ag 1.93
F6 0.5122 0.8400 0.8638  1 Ag 1.93
F7 0.9386 0.0252 0.8531  1 Ag 1.95
F8 0.0614 0.9748 0.1469  1 Ag 1.95
F9 0.6090 0.8749 0.3391  2 Ag 2.03
F10 0.3910 0.1251 0.6609  2 Ag 2.03
F11 0.8129 0.3305 0.5861  2 Ag 1.94-2.15
F12 0.1871 0.6695 0.4139  2 Ag 1.94-2.15
F13 0.8919 0.3563 0.0805  2 Ag 1.96-2.12
F14 0.1081 0.6437 0.9195  2 Ag 1.96-2.12
F15 0.7075 0.4455 0.8390  2 Ag 2.03-2.04
F16 0.2925 0.5545 0.1610  2 Ag 2.03-2.04
F17 0.1580 0.5497 0.6834  1 Ag 1.95
F18 0.8420 0.4503 0.3166  1 Ag 1.95
F19 0.9750 0.9296 0.6189  1 Ag 1.92
F20 0.0250 0.0704 0.3811  1 Ag 1.92

Properties
total DFT energy (no corrections)	-9.564	eV/atom
formation energy	-1.2299	eV per atom
magnetization	0.07	μB per cell

---

Density functional theory data (r²SCAN) for a relaxed Ag2F crystal.

a b c (Å): 2.9951 2.9951 5.7256
angles (deg): 90.00 90.00 120.00
With the nearest neighbours (Å) after each atom.
Sites, in units of the cell vectors:
Ag1 0.3333 0.6667 0.6934  3 F 2.46
Ag2 0.6667 0.3333 0.3066  3 F 2.46
F1 0.0000 0.0000 0.0000  6 Ag 2.46

Properties
total DFT energy (no corrections)	-16.118	eV/atom
formation energy	-0.8383	eV per atom
magnetization	0.00	μB per cell